Record 1
First-principles (GGA-PBE) data for a geometry-optimized TmCdPd2 structure, as listed in the Materials Project.

Cell lengths 6.7388, 6.7388, 6.7388 Å; angles 90.00, 90.00, 90.00 degrees
Last column: nearest neighbours and their distance in Å.
Positions (direct):
Tm 0.0000 0.0000 0.0000  8 Pd 2.92
Tm 0.0000 0.5000 0.5000  8 Pd 2.92
Tm 0.5000 0.0000 0.5000  8 Pd 2.92
Tm 0.5000 0.5000 0.0000  8 Pd 2.92
Cd 0.0000 0.0000 0.5000  8 Pd 2.92
Cd 0.0000 0.5000 0.0000  8 Pd 2.92
Cd 0.5000 0.0000 0.0000  8 Pd 2.92
Cd 0.5000 0.5000 0.5000  8 Pd 2.92
Pd 0.2500 0.2500 0.2500  4 Cd 2.92, 4 Tm 2.92
Pd 0.2500 0.2500 0.7500  4 Tm 2.92, 4 Cd 2.92
Pd 0.2500 0.7500 0.2500  4 Tm 2.92, 4 Cd 2.92
Pd 0.2500 0.7500 0.7500  4 Cd 2.92, 4 Tm 2.92
Pd 0.7500 0.2500 0.2500  4 Tm 2.92, 4 Cd 2.92
Pd 0.7500 0.2500 0.7500  4 Cd 2.92, 4 Tm 2.92
Pd 0.7500 0.7500 0.2500  4 Cd 2.92, 4 Tm 2.92
Pd 0.7500 0.7500 0.7500  4 Tm 2.92, 4 Cd 2.92


Record 2
First-principles (GGA-PBE) data for a geometry-optimized SrGe3Pt structure, as listed in the Materials Project.

Cell lengths 4.5268, 4.5268, 10.3602 Å; angles 90.00, 90.00, 90.00 degrees
Last column: nearest neighbours and their distance in Å.
Positions (direct):
Sr 0.0000 0.0000 0.0000  12 Ge 3.35-3.48, 5 Pt 3.54-3.68
Sr 0.5000 0.5000 0.5000  12 Ge 3.35-3.48, 5 Pt 3.54-3.68
Ge 0.0000 0.0000 0.4033  1 Pt 2.51, 4 Ge 2.74
Ge 0.0000 0.5000 0.2547  2 Pt 2.53, 2 Ge 2.74
Ge 0.0000 0.5000 0.7547  2 Pt 2.53, 2 Ge 2.74
Ge 0.5000 0.0000 0.2547  2 Pt 2.53, 2 Ge 2.74
Ge 0.5000 0.0000 0.7547  2 Pt 2.53, 2 Ge 2.74
Ge 0.5000 0.5000 0.9033  1 Pt 2.51, 4 Ge 2.74
Pt 0.0000 0.0000 0.6451  5 Ge 2.51-2.53
Pt 0.5000 0.5000 0.1451  5 Ge 2.51-2.53


Record 3
First-principles (GGA-PBE) data for a geometry-optimized NdFe4Sb12 structure, as listed in the Materials Project.

E (MP2020) = -5.5132 eV per atom

Cell lengths 7.9520, 7.9520, 7.9520 Å; angles 109.47, 109.47, 109.47 degrees
Last column: nearest neighbours and their distance in Å.
Positions (direct):
Nd 0.0000 0.0000 0.0000  12 Sb 3.41
Fe 0.0000 0.0000 0.5000  6 Sb 2.55
Fe 0.0000 0.5000 0.0000  6 Sb 2.55
Fe 0.5000 0.0000 0.0000  6 Sb 2.55
Fe 0.5000 0.5000 0.5000  6 Sb 2.55
Sb 0.1625 0.4966 0.3341  2 Fe 2.55
Sb 0.1625 0.8285 0.6659  2 Fe 2.55
Sb 0.1715 0.3341 0.8375  2 Fe 2.55
Sb 0.3341 0.1625 0.4966  2 Fe 2.55
Sb 0.3341 0.8375 0.1715  2 Fe 2.55
Sb 0.4966 0.3341 0.1625  2 Fe 2.55
Sb 0.5034 0.6659 0.8375  2 Fe 2.55
Sb 0.6659 0.1625 0.8285  2 Fe 2.55
Sb 0.6659 0.8375 0.5034  2 Fe 2.55
Sb 0.8285 0.6659 0.1625  2 Fe 2.55
Sb 0.8375 0.1715 0.3341  2 Fe 2.55
Sb 0.8375 0.5034 0.6659  2 Fe 2.55


Record 4
First-principles (GGA-PBE) data for a geometry-optimized UI2O8 structure, as listed in the Materials Project.

E (MP2020) = -6.7230 eV per atom

Cell lengths 4.2659, 16.6313, 5.7988 Å; angles 90.00, 115.67, 90.00 degrees
Last column: nearest neighbours and their distance in Å.
Positions (direct):
U 0.0000 0.0000 0.0000  2 O 1.82
U 0.0000 0.5000 0.5000  2 O 1.82
I 0.4036 0.1611 0.7151  3 O 1.81-1.89
I 0.4036 0.3389 0.2151  3 O 1.81-1.89
I 0.5964 0.6611 0.7849  3 O 1.81-1.89
I 0.5964 0.8389 0.2849  3 O 1.81-1.89
O 0.1586 0.6291 0.7491  1 I 1.86
O 0.1586 0.8709 0.2491  1 I 1.86
O 0.1697 0.0579 0.2954  1 U 1.82
O 0.1697 0.4421 0.7954  1 U 1.82
O 0.4247 0.0634 0.8888  1 I 1.89
O 0.4247 0.4366 0.3888  1 I 1.89
O 0.4564 0.7282 0.5122  1 I 1.81
O 0.4564 0.7718 0.0122  1 I 1.81
O 0.5436 0.2282 0.9878  1 I 1.81
O 0.5436 0.2718 0.4878  1 I 1.81
O 0.5753 0.5634 0.6112  1 I 1.89
O 0.5753 0.9366 0.1112  1 I 1.89
O 0.8303 0.5579 0.2046  1 U 1.82
O 0.8303 0.9421 0.7046  1 U 1.82
O 0.8414 0.1291 0.7509  1 I 1.86
O 0.8414 0.3709 0.2509  1 I 1.86


Record 5
First-principles (GGA-PBE) data for a geometry-optimized Re9Mo3Se16 structure, as listed in the Materials Project.

E (MP2020) = -7.8465 eV per atom

Cell lengths 6.7316, 6.7331, 13.4582 Å; angles 93.40, 93.64, 93.54 degrees
Last column: nearest neighbours and their distance in Å.
Positions (direct):
Re 0.0000 0.0000 0.0000  5 Se 2.54-2.68, 3 Re 2.65-2.69, 1 Mo 2.70
Re 0.9997 0.0008 0.4992  5 Se 2.53-2.70, 4 Re 2.65-2.69
Re 0.6498 0.7814 0.4808  5 Se 2.53-2.66, 1 Mo 2.65, 3 Re 2.66-2.69
Re 0.6892 0.1315 0.0898  5 Se 2.54-2.66, 2 Re 2.65, 2 Mo 2.70
Re 0.6889 0.1309 0.5897  5 Se 2.54-2.66, 3 Re 2.66-2.69, 1 Mo 2.70
Re 0.7804 0.9601 0.8250  5 Se 2.53-2.69, 2 Mo 2.65-2.66, 2 Re 2.69
Re 0.7820 0.9612 0.3250  5 Se 2.54-2.67, 1 Mo 2.66, 3 Re 2.66-2.69
Re 0.8198 0.3108 0.9340  5 Se 2.54-2.70, 3 Re 2.65-2.69, 1 Mo 2.70
Re 0.8208 0.3119 0.4335  5 Se 2.54-2.68, 3 Re 2.65-2.69, 1 Mo 2.70
Mo 0.4690 0.0907 0.9138  5 Se 2.56-2.69, 3 Re 2.65-2.70, 1 Mo 2.66
Mo 0.4697 0.0917 0.4142  5 Se 2.56-2.69, 4 Re 2.65-2.70
Mo 0.6491 0.7800 0.9808  5 Se 2.56-2.68, 1 Mo 2.66, 3 Re 2.66-2.70
Se 0.0222 0.3323 0.6001  3 Re 2.53-2.54
Se 0.0227 0.3327 0.1002  3 Re 2.54
Se 0.1052 0.1762 0.8408  3 Re 2.54-2.62, 1 Mo 2.69
Se 0.1065 0.1776 0.3402  3 Re 2.54-2.63, 1 Mo 2.69
Se 0.3606 0.9154 0.0759  2 Re 2.56-2.68, 2 Mo 2.58-2.66
Se 0.3624 0.9132 0.5756  3 Re 2.56-2.70, 1 Mo 2.66
Se 0.4499 0.7567 0.8114  1 Re 2.53, 2 Mo 2.56
Se 0.4522 0.7552 0.3134  2 Re 2.53-2.54, 1 Mo 2.56
Se 0.5056 0.4179 0.0223  2 Re 2.54-2.61, 2 Mo 2.56-2.67
Se 0.5058 0.4221 0.5226  3 Re 2.56-2.65, 1 Mo 2.58
Se 0.6063 0.2794 0.2694  3 Re 2.55-2.66, 1 Mo 2.57
Se 0.6072 0.2802 0.7692  3 Re 2.55-2.66, 1 Mo 2.58
Se 0.8673 0.8114 0.6438  4 Re 2.55-2.69
Se 0.8684 0.8144 0.1454  3 Re 2.56-2.67, 1 Mo 2.57
Se 0.9705 0.6725 0.3917  4 Re 2.56-2.68
Se 0.9733 0.6737 0.8908  3 Re 2.56-2.70, 1 Mo 2.68


Record 6
First-principles (GGA-PBE) data for a geometry-optimized Ba2B2O5 structure, as listed in the Materials Project.

E (MP2020) = -7.7944 eV per atom
Offset from the most stable computed form = 0.061 eV/f.u.

Cell lengths 11.0251, 4.2482, 13.4414 Å; angles 90.00, 105.90, 90.00 degrees
Last column: nearest neighbours and their distance in Å.
Positions (direct):
Ba 0.0840 0.2215 0.4127  6 O 2.63-2.80
Ba 0.0840 0.2785 0.9127  6 O 2.63-2.80
Ba 0.3952 0.7366 0.8601  7 O 2.69-2.99
Ba 0.3952 0.7634 0.3601  7 O 2.69-2.99
Ba 0.6048 0.2366 0.6399  7 O 2.69-2.99
Ba 0.6048 0.2634 0.1399  7 O 2.69-2.99
Ba 0.9160 0.7215 0.0873  6 O 2.63-2.80
Ba 0.9160 0.7785 0.5873  6 O 2.63-2.80
B 0.1956 0.1773 0.1831  3 O 1.37-1.44
B 0.1956 0.3227 0.6831  3 O 1.37-1.44
B 0.3257 0.6574 0.5757  3 O 1.37-1.44
B 0.3257 0.8426 0.0757  3 O 1.37-1.44
B 0.6743 0.1574 0.9243  3 O 1.37-1.44
B 0.6743 0.3426 0.4243  3 O 1.37-1.44
B 0.8044 0.6773 0.3169  3 O 1.37-1.44
B 0.8044 0.8227 0.8169  3 O 1.37-1.44
O 0.0811 0.2102 0.1116  1 B 1.37
O 0.0811 0.2898 0.6116  1 B 1.37
O 0.2233 0.2174 0.7833  1 B 1.37
O 0.2233 0.2826 0.2833  1 B 1.37
O 0.2342 0.7193 0.4858  1 B 1.37
O 0.2342 0.7807 0.9858  1 B 1.37
O 0.2993 0.0127 0.1600  2 B 1.44
O 0.2993 0.4873 0.6600  2 B 1.44
O 0.4498 0.7381 0.5905  1 B 1.37
O 0.4498 0.7619 0.0905  1 B 1.37
O 0.5502 0.2381 0.9095  1 B 1.37
O 0.5502 0.2619 0.4095  1 B 1.37
O 0.7007 0.5127 0.3400  2 B 1.44
O 0.7007 0.9873 0.8400  2 B 1.44
O 0.7658 0.2193 0.0142  1 B 1.37
O 0.7658 0.2807 0.5142  1 B 1.37
O 0.7767 0.7174 0.7167  1 B 1.37
O 0.7767 0.7826 0.2167  1 B 1.37
O 0.9189 0.7102 0.3884  1 B 1.37
O 0.9189 0.7898 0.8884  1 B 1.37


Record 7
First-principles (GGA-PBE) data for a geometry-optimized LiNbO3 structure, as listed in the Materials Project.

Maximum piezoelectric response = 4.63 C/m²
E (MP2020) = -8.2703 eV per atom

Cell lengths 5.5924, 5.5924, 5.5924 Å; angles 55.68, 55.68, 55.68 degrees
Last column: nearest neighbours and their distance in Å.
Positions (direct):
Li 0.0000 0.0000 0.0000  6 O 2.09-2.27
Li 0.5000 0.5000 0.5000  6 O 2.09-2.27
Nb 0.2821 0.2821 0.2821  3 O 1.90
Nb 0.7821 0.7821 0.7821  3 O 1.90
O 0.0628 0.4225 0.6732  1 Nb 1.90, 1 Li 2.09
O 0.1732 0.9225 0.5628  1 Nb 1.90, 1 Li 2.09
O 0.4225 0.6732 0.0628  1 Nb 1.90, 1 Li 2.09
O 0.5628 0.1732 0.9225  1 Nb 1.90, 1 Li 2.09
O 0.6732 0.0628 0.4225  1 Nb 1.90, 1 Li 2.09
O 0.9225 0.5628 0.1732  1 Nb 1.90, 1 Li 2.09


Record 8
First-principles (GGA-PBE) data for a geometry-optimized Sc6C2I11 structure, as listed in the Materials Project.

E (MP2020) = -5.2040 eV per atom

Cell lengths 9.3255, 10.4713, 14.6106 Å; angles 90.86, 104.53, 110.47 degrees
Last column: nearest neighbours and their distance in Å.
Positions (direct):
Sc 0.0636 0.2231 0.2352  2 C 2.37-2.38
Sc 0.1104 0.5193 0.3799  1 C 2.07
Sc 0.1237 0.5866 0.8533  2 C 2.33-2.35
Sc 0.1312 0.8387 0.6116  2 C 2.31-2.34
Sc 0.3235 0.6548 0.7037  2 C 2.33-2.37
Sc 0.3567 0.9436 0.8479  1 C 2.08
Sc 0.6433 0.0564 0.1521  1 C 2.08
Sc 0.6765 0.3452 0.2963  2 C 2.33-2.37
Sc 0.8688 0.1613 0.3884  2 C 2.31-2.34
Sc 0.8763 0.4134 0.1467  2 C 2.33-2.35
Sc 0.8896 0.4807 0.6201  1 C 2.07
Sc 0.9364 0.7769 0.7648  2 C 2.37-2.38
C 0.0676 0.6538 0.7013  1 C 1.42
C 0.1859 0.7698 0.7616  1 C 1.42
C 0.8141 0.2302 0.2384  1 C 1.42
C 0.9324 0.3462 0.2987  1 C 1.42
I 0.1096 0.3659 0.0704  2 Sc 2.86-2.90
I 0.1133 0.6873 0.2301  2 Sc 2.83-2.95
I 0.1166 0.0612 0.3930  2 Sc 2.84-2.93
I 0.1184 0.0311 0.8900  2 Sc 2.87-2.91
I 0.1261 0.3802 0.5615  4 Sc 3.04-3.22
I 0.3519 0.7762 0.5246  3 Sc 2.92-3.16
I 0.3612 0.4769 0.8451  2 Sc 2.84-2.85
I 0.3663 0.4444 0.3502  2 Sc 2.88-3.01
I 0.3697 0.1052 0.6869  2 Sc 2.88-2.92
I 0.3791 0.7947 0.0182  3 Sc 2.96-3.18
I 0.3820 0.1298 0.1937  2 Sc 2.89-2.99
I 0.6180 0.8702 0.8063  2 Sc 2.89-2.99
I 0.6209 0.2053 0.9818  3 Sc 2.96-3.18
I 0.6303 0.8948 0.3131  2 Sc 2.88-2.92
I 0.6337 0.5556 0.6498  2 Sc 2.88-3.01
I 0.6388 0.5231 0.1549  2 Sc 2.84-2.85
I 0.6481 0.2238 0.4754  3 Sc 2.92-3.16
I 0.8739 0.6198 0.4385  4 Sc 3.04-3.22
I 0.8816 0.9689 0.1100  2 Sc 2.87-2.91
I 0.8834 0.9388 0.6070  2 Sc 2.84-2.93
I 0.8867 0.3127 0.7699  2 Sc 2.83-2.95
I 0.8904 0.6341 0.9296  2 Sc 2.86-2.90


Record 9
First-principles (GGA-PBE) data for a geometry-optimized MgZn4O5 structure, as listed in the Materials Project.

E (MP2020) = -5.1686 eV per atom

Cell lengths 3.2894, 3.2894, 26.3396 Å; angles 90.00, 90.00, 120.00 degrees
Last column: nearest neighbours and their distance in Å.
Positions (direct):
Mg 0.0000 0.0000 0.0000  4 O 1.99-2.01
Mg 0.0000 0.0000 0.2000  4 O 1.99-2.01
Zn 0.0000 0.0000 0.3992  4 O 2.00-2.01
Zn 0.0000 0.0000 0.5992  4 O 2.00-2.01
Zn 0.0000 0.0000 0.7992  4 O 2.00-2.01
Zn 0.6667 0.3333 0.0986  4 O 2.01
Zn 0.6667 0.3333 0.2987  4 O 2.00-2.01
Zn 0.6667 0.3333 0.4992  4 O 2.00-2.01
Zn 0.6667 0.3333 0.6992  4 O 2.00-2.01
Zn 0.6667 0.3333 0.8991  4 O 2.00-2.01
O 0.0000 0.0000 0.1237  1 Mg 2.01, 3 Zn 2.01
O 0.0000 0.0000 0.3229  4 Zn 2.00-2.01
O 0.0000 0.0000 0.5230  4 Zn 2.00-2.01
O 0.0000 0.0000 0.7230  4 Zn 2.00-2.01
O 0.0000 0.0000 0.9238  3 Zn 2.01, 1 Mg 2.01
O 0.6667 0.3333 0.0223  3 Mg 1.99, 1 Zn 2.01
O 0.6667 0.3333 0.2223  3 Mg 1.99, 1 Zn 2.01
O 0.6667 0.3333 0.4230  4 Zn 2.00-2.01
O 0.6667 0.3333 0.6230  4 Zn 2.00-2.01
O 0.6667 0.3333 0.8230  4 Zn 2.00


Record 10
First-principles (GGA-PBE) data for a geometry-optimized Pm2MgRu structure, as listed in the Materials Project.

Cell lengths 7.2985, 7.2985, 7.2985 Å; angles 90.00, 90.00, 90.00 degrees
Last column: nearest neighbours and their distance in Å.
Positions (direct):
Pm 0.2500 0.2500 0.2500  4 Ru 3.16, 4 Mg 3.16
Pm 0.2500 0.2500 0.7500  4 Ru 3.16, 4 Mg 3.16
Pm 0.2500 0.7500 0.2500  4 Ru 3.16, 4 Mg 3.16
Pm 0.2500 0.7500 0.7500  4 Ru 3.16, 4 Mg 3.16
Pm 0.7500 0.2500 0.2500  4 Ru 3.16, 4 Mg 3.16
Pm 0.7500 0.2500 0.7500  4 Ru 3.16, 4 Mg 3.16
Pm 0.7500 0.7500 0.2500  4 Ru 3.16, 4 Mg 3.16
Pm 0.7500 0.7500 0.7500  4 Ru 3.16, 4 Mg 3.16
Mg 0.0000 0.0000 0.0000  8 Pm 3.16
Mg 0.0000 0.5000 0.5000  8 Pm 3.16
Mg 0.5000 0.0000 0.5000  8 Pm 3.16
Mg 0.5000 0.5000 0.0000  8 Pm 3.16
Ru 0.0000 0.0000 0.5000  8 Pm 3.16
Ru 0.0000 0.5000 0.0000  8 Pm 3.16
Ru 0.5000 0.0000 0.0000  8 Pm 3.16
Ru 0.5000 0.5000 0.5000  8 Pm 3.16


Record 11
First-principles (GGA-PBE) data for a geometry-optimized PrMgSb2O6 structure, as listed in the Materials Project.

E (MP2020) = -6.7756 eV per atom

Cell lengths 8.0177, 6.2636, 5.6972 Å; angles 90.00, 90.00, 90.00 degrees
Last column: nearest neighbours and their distance in Å.
Positions (direct):
Pr 0.0000 0.1712 0.0000  4 O 2.37-2.47
Pr 0.5000 0.8288 0.5000  4 O 2.37-2.47
Mg 0.0000 0.7193 0.4952  3 O 2.04-2.10
Mg 0.5000 0.2807 0.9952  3 O 2.04-2.10
Sb 0.2458 0.7217 0.0001  4 O 2.00-2.23
Sb 0.2542 0.2783 0.5001  4 O 2.00-2.23
Sb 0.7458 0.2783 0.5001  4 O 2.00-2.23
Sb 0.7542 0.7217 0.0001  4 O 2.00-2.23
O 0.0000 0.3589 0.6279  2 Sb 2.22, 1 Mg 2.38, 1 Pr 2.42
O 0.0000 0.8041 0.8416  1 Mg 2.04, 2 Sb 2.23
O 0.1808 0.8856 0.3016  1 Sb 2.07, 1 Mg 2.10
O 0.1852 0.4391 0.1383  1 Sb 2.00
O 0.3148 0.5609 0.6383  1 Sb 2.00
O 0.3192 0.1144 0.8016  1 Sb 2.07, 1 Mg 2.10
O 0.5000 0.1959 0.3416  1 Mg 2.04, 2 Sb 2.23
O 0.5000 0.6411 0.1279  2 Sb 2.22, 1 Mg 2.38, 1 Pr 2.42
O 0.6808 0.1144 0.8016  1 Sb 2.07, 1 Mg 2.10
O 0.6852 0.5609 0.6383  1 Sb 2.00
O 0.8148 0.4391 0.1383  1 Sb 2.00
O 0.8192 0.8856 0.3016  1 Sb 2.07, 1 Mg 2.10


Record 12
First-principles (GGA-PBE) data for a geometry-optimized K2PH3SeO8 structure, as listed in the Materials Project.

E (MP2020) = -5.9358 eV per atom

Cell lengths 7.3957, 7.6028, 9.7047 Å; angles 90.00, 128.87, 90.00 degrees
Last column: nearest neighbours and their distance in Å.
Positions (direct):
K 0.0000 0.0486 0.0000  8 O 2.77-3.07
K 0.0000 0.9514 0.5000  8 O 2.77-3.07
K 0.2128 0.4444 0.4164  7 O 2.75-3.06
K 0.2128 0.5556 0.9164  7 O 2.75-3.06
P 0.4480 0.0384 0.9582  4 O 1.50-1.59
P 0.4480 0.9616 0.4582  4 O 1.50-1.59
H 0.4813 0.2501 0.8133  1 O 1.03
H 0.4813 0.7499 0.3133  1 O 1.03
H 0.5676 0.2365 0.1725  1 O 1.04
H 0.5676 0.7635 0.6725  1 O 1.04
H 0.7162 0.1770 0.6013  1 O 1.07
H 0.7162 0.8230 0.1013  1 O 1.07
Se 0.7503 0.4524 0.4504  4 O 1.66-1.69
Se 0.7503 0.5476 0.9504  4 O 1.66-1.69
O 0.2534 0.0916 0.3772  1 P 1.50
O 0.2534 0.9084 0.8772  1 P 1.50
O 0.4199 0.1997 0.0464  1 H 1.04
O 0.4199 0.8003 0.5464  1 H 1.04
O 0.4485 0.1172 0.8068  1 H 1.03
O 0.4485 0.8828 0.3068  1 H 1.03
O 0.4915 0.4499 0.8027  1 H 1.53, 1 Se 1.68
O 0.4915 0.5501 0.3027  1 H 1.53, 1 Se 1.68
O 0.6980 0.0387 0.6062  1 H 1.07
O 0.6980 0.9613 0.1062  1 H 1.07
O 0.7550 0.3627 0.6120  1 H 1.43
O 0.7550 0.6373 0.1120  1 H 1.43
O 0.7839 0.2876 0.3518  1 H 1.50
O 0.7839 0.7124 0.8518  1 H 1.50
O 0.9666 0.4049 0.0405  1 Se 1.66
O 0.9666 0.5951 0.5405  1 Se 1.66


Summary of E_form in meV/atom
-765, -621, -325, -1821, -687, -3135, -2900, -1351, -2031, -97, -2343, -1876
(order as listed above)